Record 1
Li3Gd3Te2O12: relaxed, PBE.

```
80
Lattice="-6.260 6.260 6.260 6.260 -6.260 6.260 6.260 6.260 -6.260" Properties=species:S:1:pos:R:3 pbc="T T T"
Li 9.389 1.565 0.000
Li 6.260 -3.130 4.695
Li 4.695 6.260 -3.130
Li 4.695 0.000 3.130
Li 3.130 4.695 0.000
Li 6.260 3.130 1.565
Li 0.000 3.130 4.695
Li 3.130 1.565 6.260
Li 1.565 6.260 3.130
Li 1.565 0.000 9.389
Li 0.000 9.389 1.565
Li -3.130 4.695 6.260
Gd 3.130 1.565 0.000
Gd 6.260 3.130 -1.565
Gd 1.565 0.000 3.130
Gd 7.824 0.000 3.130
Gd 0.000 3.130 1.565
Gd 3.130 -1.565 6.260
Gd 3.130 7.824 0.000
Gd 6.260 3.130 4.695
Gd -1.565 6.260 3.130
Gd 4.695 6.260 3.130
Gd 0.000 3.130 7.824
Gd 3.130 4.695 6.260
Te 0.000 0.000 0.000
Te 3.130 3.130 -3.130
Te 3.130 -3.130 3.130
Te 6.260 0.000 0.000
Te -3.130 3.130 3.130
Te 0.000 6.260 0.000
Te 0.000 0.000 6.260
Te 3.130 3.130 3.130
O 1.817 -0.330 0.655
O 7.573 3.785 -3.460
O 8.076 0.330 0.655
O 7.573 -2.474 3.460
O 5.930 -0.655 1.817
O 9.719 -1.313 2.474
O 0.655 1.817 -0.330
O 8.734 2.800 -1.313
O 3.785 3.460 -1.313
O 5.604 1.817 0.330
O -0.330 0.655 1.817
O 3.460 -1.313 3.785
O 5.930 5.604 -1.817
O 3.460 1.313 2.474
O 3.785 -3.460 7.573
O 5.604 -1.817 5.930
O 2.474 3.460 1.313
O 6.915 4.443 0.330
O 3.460 7.573 -2.474
O 5.930 0.655 4.443
O 1.817 5.930 -0.655
O 7.573 2.474 2.800
O 1.313 2.474 3.460
O 1.817 0.330 5.604
O 4.443 5.930 0.655
O 4.946 3.785 2.800
O -1.313 3.785 3.460
O 4.443 0.330 6.915
O 0.330 5.604 1.817
O 2.800 -1.313 8.734
O -0.655 1.817 5.930
O 3.785 2.800 4.946
O 0.655 8.076 0.330
O 2.474 9.719 -1.313
O 2.800 4.946 3.785
O 0.330 0.655 8.076
O 2.800 7.573 2.474
O 6.589 5.604 4.443
O 0.655 4.443 5.930
O 2.474 2.800 7.573
O -2.474 3.460 7.573
O 5.604 4.443 6.589
O -3.460 7.573 3.785
O 0.330 6.915 4.443
O -1.313 8.734 2.800
O -1.817 5.930 5.604
O -1.313 2.474 9.719
O 4.443 6.589 5.604
```

**Total energy**: -0.29427 hartree per atom
**ΔE_f**: -54.8 eV per formula unit
**Size of the total moment**: 84.0 Bohr magnetons per cell
**Crystal system**: cubic


Record 2
CaGd2O4: relaxed, PBE.

```
14
Lattice="1.685 -5.625 0.000 1.685 5.625 0.000 0.000 0.000 11.062" Properties=species:S:1:pos:R:3 pbc="T T T"
Ca 1.685 4.376 8.297
Ca 1.685 -4.376 2.766
Gd 1.685 1.487 6.360
Gd 1.685 1.487 10.234
Gd 1.685 -1.487 0.828
Gd 1.685 -1.487 4.703
O 0.000 0.000 0.000
O 0.000 0.000 5.531
O 1.685 2.624 1.261
O 1.685 2.624 4.270
O 1.685 0.324 8.297
O 1.685 -0.324 2.766
O 1.685 -2.624 6.792
O 1.685 -2.624 9.802
```

**Total energy**: -0.38147 hartree per atom
**ΔE_f**: -25.5 eV per formula unit
**Size of the total moment**: 28.0 Bohr magnetons per cell
**Crystal system**: orthorhombic


Record 3
BaTb: relaxed, PBE.

```
2
Lattice="3.892 0.000 0.000 -1.946 3.371 0.000 0.000 0.000 6.479" Properties=species:S:1:pos:R:3 pbc="T T T"
Ba 0.000 0.000 0.000
Tb 1.946 1.124 3.240
```

**Total energy**: -0.10934 hartree per atom
**ΔE_f**: 0.6 eV per formula unit
**Size of the total moment**: 0.5 Bohr magnetons per cell
**Crystal system**: hexagonal


Record 4
Ho2Fe17C3: relaxed, PBE.

```
22
Lattice="4.317 2.493 4.155 -4.317 2.493 4.155 0.000 -4.985 4.155" Properties=species:S:1:pos:R:3 pbc="T T T"
Ho 0.000 0.000 1.972
Ho 0.000 0.000 10.493
Fe -2.159 -1.246 4.155
Fe 0.000 -2.438 3.990
Fe -2.112 1.219 3.990
Fe -1.225 -2.122 6.233
Fe -2.451 0.000 6.233
Fe -2.112 -1.219 8.475
Fe 0.000 0.000 5.044
Fe -2.159 1.246 8.310
Fe 1.225 -2.122 6.233
Fe 0.000 2.493 4.155
Fe -1.225 2.122 6.233
Fe 0.000 0.000 7.422
Fe 2.112 1.219 3.990
Fe 2.451 0.000 6.233
Fe 1.225 2.122 6.233
Fe 2.112 -1.219 8.475
Fe 0.000 2.438 8.475
C -4.317 0.000 6.233
C -2.159 1.246 2.078
C 2.159 1.246 2.078
```

**Total energy**: -0.30514 hartree per atom
**ΔE_f**: -1.8 eV per formula unit
**Size of the total moment**: 34.3 Bohr magnetons per cell
**Crystal system**: trigonal


Record 5
Mg4CuO5: relaxed, PBE.

```
10
Lattice="-1.508 2.126 7.519 1.508 -2.126 7.519 1.508 2.126 -7.519" Properties=species:S:1:pos:R:3 pbc="T T T"
Mg 0.000 0.000 1.490
Mg 0.000 0.000 4.508
Mg 0.000 0.000 10.531
Mg 0.000 0.000 13.549
Cu 0.000 0.000 7.519
O 1.508 0.000 0.000
O 1.508 0.000 3.006
O 1.508 0.000 5.984
O 0.000 2.126 1.536
O 0.000 2.126 4.513
```

**Total energy**: -0.21162 hartree per atom
**ΔE_f**: -25.8 eV per formula unit
**Size of the total moment**: 1.0 Bohr magnetons per cell
**Crystal system**: orthorhombic


Record 6
KSO2F: relaxed, PBE.

```
10
Lattice="4.709 0.000 0.000 0.000 5.816 0.000 -2.251 0.000 6.788" Properties=species:S:1:pos:R:3 pbc="T T T"
K 0.086 1.454 1.964
K 2.373 4.362 4.824
S 0.046 1.454 5.535
S 2.412 4.362 1.253
O 0.017 0.231 4.700
O 0.017 2.677 4.700
O 2.441 3.139 2.088
O 2.441 5.585 2.088
F 0.636 4.362 0.794
F 1.822 1.454 5.993
```

**Total energy**: -0.19217 hartree per atom
**ΔE_f**: -10.9 eV per formula unit
**Size of the total moment**: 0.0 Bohr magnetons per cell
**Crystal system**: monoclinic


Record 7
YThFe14B: relaxed, PBE.

```
68
Lattice="8.765 0.000 0.000 0.000 8.765 0.000 0.000 0.000 11.976" Properties=species:S:1:pos:R:3 pbc="T T T"
Y 2.010 2.010 0.000
Y 2.372 6.393 5.988
Y 6.393 2.372 5.988
Y 6.754 6.754 0.000
Th 1.260 1.260 5.988
Th 3.122 5.643 0.000
Th 5.643 3.122 0.000
Th 7.504 7.504 5.988
Fe 0.000 0.000 1.375
Fe 0.000 0.000 10.602
Fe 0.000 4.382 0.000
Fe 0.000 4.382 5.988
Fe 0.330 5.614 3.891
Fe 0.330 5.614 8.085
Fe 0.576 6.350 1.522
Fe 0.576 6.350 10.454
Fe 0.858 7.907 3.565
Fe 0.858 7.907 8.411
Fe 1.231 4.052 2.097
Fe 1.231 4.052 9.879
Fe 1.603 1.603 2.931
Fe 1.603 1.603 9.045
Fe 1.968 3.806 4.466
Fe 1.968 3.806 7.510
Fe 2.414 8.188 1.522
Fe 2.414 8.188 10.454
Fe 2.780 5.985 3.057
Fe 2.780 5.985 8.919
Fe 3.151 8.435 3.891
Fe 3.151 8.435 8.085
Fe 3.524 3.524 2.423
Fe 3.524 3.524 9.553
Fe 3.806 1.968 4.466
Fe 3.806 1.968 7.510
Fe 4.052 1.231 2.097
Fe 4.052 1.231 9.879
Fe 4.382 0.000 0.000
Fe 4.382 0.000 5.988
Fe 4.382 4.382 4.614
Fe 4.382 4.382 7.363
Fe 4.712 7.533 2.097
Fe 4.712 7.533 9.879
Fe 4.959 6.797 4.466
Fe 4.959 6.797 7.510
Fe 5.240 5.240 2.423
Fe 5.240 5.240 9.553
Fe 5.614 0.330 3.891
Fe 5.614 0.330 8.085
Fe 5.985 2.780 3.057
Fe 5.985 2.780 8.919
Fe 6.350 0.576 1.522
Fe 6.350 0.576 10.454
Fe 6.797 4.959 4.466
Fe 6.797 4.959 7.510
Fe 7.162 7.162 2.931
Fe 7.162 7.162 9.045
Fe 7.533 4.712 2.097
Fe 7.533 4.712 9.879
Fe 7.907 0.858 3.565
Fe 7.907 0.858 8.411
Fe 8.188 2.414 1.522
Fe 8.188 2.414 10.454
Fe 8.435 3.151 3.891
Fe 8.435 3.151 8.085
B 1.080 7.685 0.000
B 3.302 3.302 5.988
B 5.462 5.462 5.988
B 7.685 1.080 0.000
```

**Total energy**: -0.30470 hartree per atom
**ΔE_f**: -1.8 eV per formula unit
**Size of the total moment**: 121.9 Bohr magnetons per cell
**Crystal system**: tetragonal


Record 8
USiRu: relaxed, PBE.

```
12
Lattice="7.465 0.000 0.000 0.000 4.153 0.000 0.000 0.000 6.623" Properties=species:S:1:pos:R:3 pbc="T T T"
U 0.048 1.038 0.978
U 3.684 3.115 4.289
U 3.781 1.038 2.334
U 7.416 3.115 5.646
Si 1.473 1.038 4.078
Si 2.259 3.115 0.767
Si 5.206 1.038 5.856
Si 5.992 3.115 2.545
Ru 0.972 3.115 2.867
Ru 2.761 1.038 6.178
Ru 4.704 3.115 0.445
Ru 6.493 1.038 3.757
```

**Total energy**: -0.33931 hartree per atom
**ΔE_f**: -1.7 eV per formula unit
**Crystal system**: orthorhombic


Record 9
CsRe3O6F10: relaxed, PBE.

```
40
Lattice="7.347 0.000 0.000 -0.392 10.093 0.000 -0.188 -4.279 9.781" Properties=species:S:1:pos:R:3 pbc="T T T"
Cs 1.333 1.541 1.185
Cs 5.433 4.273 8.596
Re 1.455 2.020 6.591
Re 1.617 6.812 1.082
Re 1.521 6.122 6.183
Re 5.246 -0.308 3.599
Re 5.150 -0.998 8.699
Re 5.311 3.794 3.191
O 1.373 2.135 4.889
O 1.550 7.188 2.743
O 1.920 0.397 6.826
O 2.044 5.147 1.083
O 2.327 -2.355 5.838
O 2.336 5.248 4.945
O 4.430 0.566 4.836
O 4.440 8.169 3.943
O 4.722 0.667 8.699
O 4.846 5.417 2.955
O 5.216 -1.374 7.038
O 5.393 3.679 4.892
F -0.228 6.491 0.807
F -0.191 4.014 2.879
F -0.164 6.086 5.344
F 0.430 6.394 7.785
F 0.871 4.041 6.791
F 1.128 8.594 0.413
F 1.432 2.298 8.666
F 2.863 5.785 7.483
F 3.158 2.794 6.802
F 3.396 -1.612 9.048
F 3.370 7.426 0.733
F 3.608 3.020 2.979
F 3.903 0.029 2.299
F 5.334 3.516 1.115
F 5.639 -2.780 9.369
F 5.895 1.773 2.991
F 6.337 -0.580 1.997
F 6.930 -0.272 4.438
F 6.958 1.800 6.903
F 6.994 -0.677 8.974
```

**Total energy**: -0.23636 hartree per atom
**ΔE_f**: -50.3 eV per formula unit
**Size of the total moment**: 0.0 Bohr magnetons per cell
**Crystal system**: triclinic


Record 10
Pr4S3NCl3: relaxed, PBE.

```
22
Lattice="9.437 0.000 0.000 -4.719 8.173 0.000 0.000 0.000 6.936" Properties=species:S:1:pos:R:3 pbc="T T T"
Pr 0.000 3.299 0.000
Pr -1.862 6.523 0.000
Pr 0.000 5.449 3.705
Pr 2.857 1.649 3.468
Pr 1.862 6.523 0.000
Pr 4.719 2.724 0.237
Pr 6.580 1.649 3.468
Pr 4.719 4.874 3.468
S -1.904 4.349 1.930
S 1.904 4.349 1.930
S 0.000 7.647 1.930
S 4.719 0.526 5.398
S 2.815 3.824 5.398
S 6.623 3.824 5.398
N 0.000 5.449 6.099
N 4.719 2.724 2.631
Cl 0.000 2.146 4.225
Cl -2.860 7.100 4.225
Cl 1.858 1.073 0.757
Cl 2.860 7.100 4.225
Cl 7.579 1.073 0.757
Cl 4.719 6.027 0.757
```

**Total energy**: -0.22788 hartree per atom
**ΔE_f**: -26.1 eV per formula unit
**Size of the total moment**: 0.0 Bohr magnetons per cell
**Crystal system**: hexagonal


Record 11
Tb2MgTi2S2O5: relaxed, PBE.

```
12
Lattice="2.690 -2.692 0.000 2.690 2.692 0.000 -0.080 0.000 14.172" Properties=species:S:1:pos:R:3 pbc="T T T"
Tb 0.000 0.000 0.000
Tb 2.654 0.000 10.218
Mg 0.031 0.000 6.972
Ti 2.696 0.000 1.973
Ti 2.722 0.000 5.611
S -0.033 0.000 9.546
S 2.616 0.000 12.826
O 1.348 1.343 1.281
O 1.376 1.346 6.305
O 1.348 -1.343 1.281
O 2.719 0.000 3.793
O 1.376 -1.346 6.305
```

**Total energy**: -0.27947 hartree per atom
**ΔE_f**: -36.0 eV per formula unit
**Size of the total moment**: 1.3 Bohr magnetons per cell
**Crystal system**: monoclinic


Record 12
MnSiAg2Se4: relaxed, PBE.

```
16
Lattice="8.051 0.000 0.000 0.000 7.316 0.000 0.000 0.000 6.896" Properties=species:S:1:pos:R:3 pbc="T T T"
Mn 0.000 1.051 0.000
Mn 4.025 6.264 3.448
Si 0.000 6.117 3.430
Si 4.025 1.199 6.877
Ag 2.002 4.926 0.121
Ag 2.024 2.389 3.569
Ag 6.027 2.389 3.569
Ag 6.049 4.926 0.121
Se 0.000 0.922 2.546
Se 0.000 6.145 5.739
Se 1.898 4.954 2.755
Se 2.128 2.361 6.203
Se 4.025 1.171 2.291
Se 4.025 6.394 5.994
Se 5.923 2.361 6.203
Se 6.153 4.954 2.755
```

**Total energy**: -0.16882 hartree per atom
**ΔE_f**: -4.4 eV per formula unit
**Size of the total moment**: 10.0 Bohr magnetons per cell
**Crystal system**: orthorhombic